The following is a GGA-PBE calculation of crystalline Na2ThS3O18 at its relaxed geometry, from the Materials Project.

Computed properties:
M_tot   0.33 μB/atom

Lattice parameters (Å, degrees): 5.396 17.382 17.059 90.00 89.44 90.00
Fractional positions:
S: 0.321 0.067 0.796
O: 0.481 0.154 0.198
O: 0.250 0.294 0.020
S: 0.679 0.567 0.704
O: 0.904 0.218 0.839
O: 0.432 0.977 0.217
O: 0.651 0.350 0.964
O: 0.568 0.477 0.283
O: 0.519 0.846 0.802
Na: 0.501 0.791 0.057
S: 0.321 0.433 0.296
O: 0.584 0.590 0.138
O: 0.227 0.526 0.836
O: 0.349 0.650 0.036
O: 0.704 0.489 0.937
Na: 0.474 0.385 0.105
O: 0.296 0.989 0.563
O: 0.729 0.614 0.772
O: 0.922 0.162 0.169
O: 0.328 0.779 0.331
Na: 0.499 0.291 0.443
O: 0.096 0.718 0.661
O: 0.704 0.011 0.437
O: 0.416 0.090 0.362
O: 0.904 0.282 0.339
O: 0.766 0.991 0.945
Na: 0.474 0.115 0.605
O: 0.922 0.338 0.669
O: 0.432 0.523 0.717
S: 0.673 0.302 0.648
O: 0.349 0.850 0.536
O: 0.896 0.751 0.669
O: 0.181 0.560 0.548
O: 0.078 0.838 0.831
O: 0.227 0.974 0.336
O: 0.250 0.206 0.520
O: 0.342 0.391 0.370
O: 0.104 0.251 0.831
O: 0.819 0.440 0.452
O: 0.096 0.782 0.161
Na: 0.526 0.615 0.895
Th: 0.161 0.420 0.748
O: 0.342 0.109 0.870
O: 0.672 0.221 0.669
Th: 0.839 0.920 0.752
O: 0.622 0.182 0.065
Na: 0.501 0.709 0.557
O: 0.234 0.009 0.055
O: 0.378 0.818 0.935
O: 0.672 0.279 0.169
O: 0.568 0.023 0.783
O: 0.296 0.511 0.063
O: 0.378 0.682 0.435
O: 0.658 0.609 0.630
S: 0.679 0.933 0.204
O: 0.896 0.749 0.169
O: 0.766 0.509 0.445
O: 0.773 0.474 0.164
O: 0.819 0.060 0.952
O: 0.271 0.386 0.228
O: 0.872 0.996 0.195
O: 0.750 0.794 0.480
O: 0.416 0.410 0.862
O: 0.584 0.910 0.638
O: 0.729 0.886 0.272
S: 0.337 0.587 0.095
O: 0.658 0.891 0.130
O: 0.140 0.606 0.155
Th: 0.839 0.580 0.252
S: 0.327 0.698 0.352
O: 0.104 0.249 0.331
O: 0.128 0.496 0.305
Th: 0.161 0.080 0.248
O: 0.078 0.662 0.331
O: 0.651 0.150 0.464
S: 0.673 0.198 0.148
O: 0.519 0.654 0.302
O: 0.622 0.318 0.565
S: 0.337 0.913 0.595
Na: 0.499 0.209 0.943
O: 0.328 0.721 0.831
O: 0.271 0.114 0.728
O: 0.140 0.894 0.655
O: 0.872 0.504 0.695
S: 0.663 0.413 0.905
Na: 0.526 0.885 0.395
O: 0.128 0.004 0.805
O: 0.860 0.394 0.845
O: 0.181 0.940 0.048
O: 0.750 0.706 0.980
S: 0.663 0.087 0.405
O: 0.234 0.491 0.555
O: 0.481 0.346 0.698
S: 0.327 0.802 0.852
O: 0.773 0.026 0.664
O: 0.860 0.106 0.345

---

The following is a GGA-PBE calculation of crystalline NaTmS2O8 at its relaxed geometry, from the Materials Project.

Computed properties:
M_tot   0.00 μB/atom

Lattice parameters (Å, degrees): 6.850 4.759 9.897 82.78 90.00 90.00
Fractional positions:
O: 0.750 0.660 0.544
O: 0.421 0.176 0.671
O: 0.250 0.340 0.456
S: 0.750 0.649 0.929
S: 0.250 0.351 0.071
O: 0.250 0.631 0.638
Tm: 0.250 0.854 0.825
O: 0.425 0.240 0.148
O: 0.750 0.737 0.070
O: 0.250 0.263 0.930
O: 0.075 0.240 0.148
O: 0.575 0.760 0.852
Na: 0.250 0.884 0.363
O: 0.579 0.824 0.329
O: 0.250 0.666 0.052
Tm: 0.750 0.146 0.175
O: 0.750 0.369 0.362
O: 0.079 0.176 0.671
O: 0.925 0.760 0.852
O: 0.921 0.824 0.329
O: 0.750 0.334 0.948
S: 0.250 0.335 0.604
S: 0.750 0.665 0.396
Na: 0.750 0.116 0.637

---

The following is a GGA-PBE calculation of crystalline Na10US6O29 at its relaxed geometry, from the Materials Project.

Computed properties:
M_tot   0.13 μB/atom

Lattice parameters (Å, degrees): 9.418 9.746 15.241 88.84 72.00 86.26
Fractional positions:
O: 0.811 0.608 0.645
O: 0.796 0.446 0.323
O: 0.733 0.786 0.867
S: 0.750 0.294 0.063
O: 0.402 0.391 0.870
O: 0.165 0.611 0.592
O: 0.625 0.116 0.610
S: 0.276 0.956 0.682
Na: 0.767 0.286 0.508
Na: 0.017 0.561 0.501
Na: 0.145 0.801 0.280
S: 0.814 0.794 0.937
S: 0.452 0.966 0.324
O: 0.145 0.180 0.531
O: 0.986 0.386 0.398
U: 0.055 0.196 0.655
O: 0.091 0.601 0.758
O: 0.951 0.872 0.896
O: 0.849 0.101 0.242
O: 0.488 0.579 0.031
O: 0.294 0.110 0.674
O: 0.278 0.819 0.976
Na: 0.630 0.278 0.281
O: 0.065 0.773 0.112
O: 0.643 0.425 0.653
O: 0.497 0.654 0.812
O: 0.682 0.897 0.680
O: 0.520 0.079 0.969
Na: 0.563 0.701 0.637
Na: 0.957 0.579 0.083
O: 0.908 0.373 0.615
Na: 0.911 0.778 0.719
Na: 0.941 0.453 0.869
O: 0.615 0.108 0.771
O: 0.297 0.925 0.347
O: 0.102 0.005 0.053
Na: 0.200 0.201 0.363
S: 0.368 0.548 0.322
O: 0.757 0.111 0.408
O: 0.863 0.654 0.962
O: 0.735 0.363 0.978
O: 0.024 0.059 0.331
O: 0.524 0.873 0.385
O: 0.253 0.319 0.024
O: 0.848 0.890 0.331
Na: 0.518 0.061 0.499
O: 0.746 0.706 0.220
O: 0.600 0.286 0.133
O: 0.846 0.372 0.104
O: 0.766 0.445 0.774
O: 0.825 0.154 0.038
Na: 0.630 0.281 0.875
O: 0.177 0.273 0.888
Na: 0.810 0.953 0.131
O: 0.291 0.904 0.770
S: 0.870 0.044 0.329
O: 0.386 0.608 0.229
U: 0.710 0.696 0.345
S: 0.199 0.544 0.671
Na: 0.275 0.786 0.492
O: 0.714 0.863 0.022
O: 0.856 0.077 0.647
O: 0.455 0.108 0.355
Na: 0.048 0.215 0.130
Na: 0.367 0.395 0.132
O: 0.503 0.577 0.353
O: 0.362 0.397 0.320
S: 0.775 0.466 0.676
O: 0.385 0.886 0.602
O: 0.061 0.404 0.230
O: 0.309 0.154 0.188
Na: 0.505 0.781 0.125
O: 0.180 0.390 0.669
O: 0.539 0.945 0.226
S: 0.690 0.048 0.678
Na: 0.425 0.301 0.720
O: 0.002 0.846 0.498
O: 0.156 0.505 0.947
O: 0.119 0.946 0.677
O: 0.968 0.610 0.326
Na: 0.179 0.715 0.870
Na: 0.498 0.895 0.868
O: 0.966 0.206 0.780
S: 0.246 0.372 0.933
O: 0.676 0.680 0.469
S: 0.958 0.456 0.318
O: 0.355 0.559 0.669
O: 0.271 0.891 0.130
Na: 0.040 0.079 0.917
O: 0.500 0.346 0.502
O: 0.236 0.616 0.390
S: 0.180 0.872 0.067

---

The following is a GGA-PBE calculation of crystalline NaY3ZnS6O24 at its relaxed geometry, from the Materials Project.

Computed properties:
M_tot   0.00 μB/atom

Lattice parameters (Å, degrees): 9.074 9.074 24.034 90.00 90.00 120.00
Fractional positions:
O: 0.113 0.469 0.867
O: 0.823 0.793 0.303
O: 0.310 0.864 0.967
O: 0.359 0.481 0.073
S: 0.378 0.329 0.079
O: 0.191 0.208 0.702
O: 0.022 0.826 0.406
S: 0.952 0.622 0.079
O: 0.794 0.808 0.202
S: 0.716 0.004 0.754
Zn: 0.000 0.000 0.353
O: 0.139 0.693 0.465
O: 0.875 0.525 0.131
Y: 0.333 0.667 0.312
O: 0.482 0.121 0.633
S: 0.038 0.675 0.414
O: 0.463 0.159 0.248
O: 0.481 0.347 0.420
O: 0.817 0.794 0.591
O: 0.206 0.177 0.803
O: 0.207 0.030 0.303
O: 0.554 0.861 0.465
O: 0.792 0.983 0.702
Zn: 0.667 0.333 0.983
O: 0.546 0.692 0.259
O: 0.122 0.641 0.073
Y: 0.333 0.667 0.017
O: 0.650 0.125 0.131
S: 0.288 0.284 0.754
Y: 0.667 0.333 0.688
O: 0.692 0.544 0.534
O: 0.456 0.148 0.534
Y: 0.667 0.333 0.185
O: 0.843 0.538 0.748
S: 0.996 0.712 0.754
O: 0.308 0.854 0.259
O: 0.519 0.878 0.073
Y: 0.000 0.000 0.148
O: 0.695 0.157 0.748
O: 0.204 0.176 0.086
O: 0.357 0.477 0.365
O: 0.653 0.134 0.420
O: 0.844 0.540 0.031
O: 0.148 0.693 0.760
Na: 0.000 0.000 0.992
O: 0.146 0.454 0.259
O: 0.192 0.986 0.202
O: 0.489 0.142 0.923
O: 0.513 0.642 0.575
Y: 0.000 0.000 0.648
S: 0.717 0.711 0.254
O: 0.852 0.308 0.534
O: 0.866 0.519 0.420
O: 0.307 0.446 0.465
S: 0.960 0.335 0.583
O: 0.017 0.809 0.702
O: 0.841 0.304 0.248
S: 0.671 0.048 0.079
O: 0.972 0.796 0.086
O: 0.475 0.350 0.131
O: 0.824 0.028 0.086
O: 0.358 0.872 0.575
Zn: 0.000 0.000 0.850
O: 0.014 0.206 0.202
S: 0.333 0.972 0.917
O: 0.174 0.196 0.406
O: 0.136 0.446 0.967
Na: 0.667 0.333 0.333
O: 0.971 0.794 0.803
S: 0.637 0.962 0.414
O: 0.178 0.987 0.911
O: 0.696 0.537 0.248
O: 0.879 0.360 0.633
O: 0.696 0.156 0.031
O: 0.356 0.887 0.867
O: 0.545 0.852 0.760
O: 0.531 0.644 0.867
O: 0.128 0.487 0.575
O: 0.523 0.880 0.365
O: 0.804 0.978 0.406
O: 0.809 0.822 0.911
S: 0.028 0.361 0.917
O: 0.977 0.183 0.591
O: 0.640 0.518 0.633
S: 0.375 0.040 0.583
S: 0.665 0.625 0.583
Y: 0.333 0.667 0.517
O: 0.206 0.023 0.591
S: 0.289 0.006 0.254
O: 0.013 0.191 0.911
O: 0.307 0.455 0.760
S: 0.325 0.363 0.414
O: 0.460 0.304 0.031
O: 0.653 0.511 0.923
O: 0.823 0.029 0.803
S: 0.994 0.283 0.254
Y: 0.333 0.667 0.816
Y: 0.667 0.333 0.480
O: 0.554 0.690 0.967
O: 0.462 0.305 0.748
O: 0.970 0.177 0.303
Na: 0.667 0.333 0.842
O: 0.858 0.347 0.923
O: 0.120 0.643 0.365
S: 0.639 0.667 0.917

---

The following is a GGA-PBE calculation of crystalline NaYZnS3O12 at its relaxed geometry, from the Materials Project.

Computed properties:
M_tot   0.00 μB/atom

Lattice parameters (Å, degrees): 8.954 8.954 23.646 90.00 90.00 120.00
Fractional positions:
O: 0.140 0.499 0.578
O: 0.359 0.860 0.578
O: 0.480 0.118 0.636
Y: 0.000 0.000 0.648
S: 0.967 0.623 0.084
S: 0.634 0.956 0.418
O: 0.350 0.878 0.866
O: 0.167 0.193 0.412
Y: 0.333 0.667 0.815
O: 0.474 0.308 0.745
O: 0.807 0.833 0.912
S: 0.967 0.344 0.584
O: 0.862 0.317 0.533
O: 0.882 0.520 0.136
O: 0.147 0.681 0.755
O: 0.652 0.520 0.922
O: 0.359 0.499 0.078
S: 0.377 0.033 0.584
O: 0.474 0.166 0.245
Na: 0.333 0.667 0.161
O: 0.834 0.308 0.245
O: 0.535 0.853 0.755
S: 0.044 0.366 0.918
O: 0.017 0.805 0.700
O: 0.026 0.193 0.912
O: 0.304 0.853 0.969
O: 0.167 0.974 0.912
O: 0.807 0.974 0.412
O: 0.304 0.451 0.469
O: 0.788 0.805 0.200
O: 0.147 0.451 0.969
Na: 0.000 0.000 0.994
S: 0.300 0.290 0.751
O: 0.868 0.348 0.922
S: 0.710 0.700 0.251
O: 0.683 0.545 0.533
O: 0.195 0.212 0.700
O: 0.692 0.166 0.745
O: 0.834 0.526 0.745
O: 0.202 0.187 0.088
S: 0.710 0.010 0.751
S: 0.323 0.956 0.918
Zn: 0.333 0.667 0.015
Y: 0.333 0.667 0.315
O: 0.017 0.212 0.200
O: 0.122 0.650 0.366
S: 0.323 0.366 0.418
O: 0.683 0.138 0.033
S: 0.990 0.290 0.251
O: 0.813 0.015 0.088
S: 0.300 0.010 0.251
O: 0.971 0.187 0.302
O: 0.692 0.526 0.245
O: 0.813 0.798 0.588
O: 0.480 0.132 0.922
O: 0.216 0.029 0.302
O: 0.147 0.696 0.469
Y: 0.667 0.333 0.481
Zn: 0.333 0.667 0.515
O: 0.122 0.472 0.866
O: 0.971 0.784 0.802
O: 0.319 0.853 0.255
Na: 0.667 0.333 0.828
O: 0.147 0.465 0.255
O: 0.868 0.520 0.422
Zn: 0.667 0.333 0.682
O: 0.549 0.853 0.469
O: 0.202 0.015 0.588
O: 0.319 0.465 0.755
O: 0.549 0.696 0.969
Y: 0.667 0.333 0.981
O: 0.350 0.472 0.366
O: 0.985 0.187 0.588
O: 0.882 0.362 0.636
S: 0.990 0.700 0.751
O: 0.652 0.132 0.422
Na: 0.333 0.667 0.661
O: 0.480 0.362 0.136
Zn: 0.667 0.333 0.182
O: 0.480 0.348 0.422
Na: 0.000 0.000 0.494
O: 0.528 0.650 0.866
O: 0.195 0.983 0.200
S: 0.634 0.677 0.918
O: 0.501 0.641 0.578
O: 0.455 0.138 0.533
O: 0.788 0.983 0.700
O: 0.862 0.545 0.033
S: 0.656 0.623 0.584
O: 0.501 0.860 0.078
O: 0.638 0.520 0.636
O: 0.026 0.833 0.412
O: 0.638 0.118 0.136
O: 0.813 0.029 0.802
Zn: 0.000 0.000 0.849
S: 0.044 0.677 0.418
Y: 0.000 0.000 0.148
Zn: 0.000 0.000 0.349
S: 0.656 0.033 0.084
O: 0.985 0.798 0.088
O: 0.140 0.641 0.078
O: 0.813 0.784 0.302
O: 0.528 0.878 0.366
Na: 0.667 0.333 0.328
O: 0.535 0.681 0.255
O: 0.216 0.187 0.802
O: 0.455 0.317 0.033
S: 0.377 0.344 0.084

---

| no. | MP2020-corrected energy (eV/atom) | DFT formation energy (eV per atom) |
| --- | --- | --- |
| 1 | -6.000 | -1.3528 |
| 2 | -7.011 | -2.5395 |
| 3 | -6.209 | -2.0169 |
| 4 | -7.190 | -2.4598 |
| 5 | -6.778 | -2.2872 |